No. 1
S8O | r²SCAN | optimized geometry

The structure in CIF format:
```
data_S8O
_chemical_formula_sum 'S32 O4'
_symmetry_space_group_name_H-M 'P 1'
_symmetry_Int_Tables_number 1
_cell_length_a 13.439
_cell_length_b 8.249
_cell_length_c 8.166
_cell_angle_alpha 90.00
_cell_angle_beta 90.00
_cell_angle_gamma 90.00
loop_
_symmetry_equiv_pos_as_xyz
'x,y,z'
loop_
_atom_site_label
_atom_site_type_symbol
_atom_site_fract_x
_atom_site_fract_y
_atom_site_fract_z
S1 S 0.025 0.019 0.000
S2 S 0.027 0.522 0.503
S3 S 0.089 0.140 0.438
S4 S 0.089 0.322 0.607
S5 S 0.121 0.465 0.072
S6 S 0.142 0.977 0.858
S7 S 0.204 0.571 0.900
S8 S 0.236 0.813 0.009
S9 S 0.264 0.813 0.509
S10 S 0.296 0.571 0.400
S11 S 0.358 0.977 0.358
S12 S 0.379 0.465 0.572
S13 S 0.411 0.140 0.938
S14 S 0.411 0.322 0.107
S15 S 0.473 0.522 0.003
S16 S 0.475 0.019 0.500
S17 S 0.525 0.981 0.000
S18 S 0.527 0.478 0.503
S19 S 0.589 0.678 0.607
S20 S 0.589 0.860 0.438
S21 S 0.621 0.535 0.072
S22 S 0.642 0.023 0.858
S23 S 0.704 0.429 0.900
S24 S 0.736 0.187 0.009
S25 S 0.764 0.187 0.509
S26 S 0.796 0.429 0.400
S27 S 0.858 0.023 0.358
S28 S 0.879 0.535 0.572
S29 S 0.911 0.678 0.107
S30 S 0.911 0.860 0.938
S31 S 0.973 0.478 0.003
S32 S 0.975 0.981 0.500
O1 O 0.189 0.811 0.173
O2 O 0.311 0.811 0.673
O3 O 0.689 0.189 0.173
O4 O 0.811 0.189 0.673
```

Crystal system: orthorhombic
Total DFT energy (no corrections) (eV/atom): -7.9300
DFT formation energy (eV/atom): -0.1250



No. 2
PdF2 | r²SCAN | optimized geometry

The structure in CIF format:
```
data_PdF2
_chemical_formula_sum 'Pd4 F8'
_symmetry_space_group_name_H-M 'P 1'
_symmetry_Int_Tables_number 1
_cell_length_a 5.331
_cell_length_b 5.331
_cell_length_c 5.331
_cell_angle_alpha 90.11
_cell_angle_beta 90.11
_cell_angle_gamma 90.11
loop_
_symmetry_equiv_pos_as_xyz
'x,y,z'
loop_
_atom_site_label
_atom_site_type_symbol
_atom_site_fract_x
_atom_site_fract_y
_atom_site_fract_z
Pd1 Pd 0.000 0.000 0.000
Pd2 Pd 0.000 0.500 0.500
Pd3 Pd 0.500 0.000 0.500
Pd4 Pd 0.500 0.500 0.000
F1 F 0.156 0.659 0.844
F2 F 0.156 0.844 0.341
F3 F 0.341 0.156 0.844
F4 F 0.343 0.343 0.343
F5 F 0.657 0.657 0.657
F6 F 0.659 0.844 0.156
F7 F 0.844 0.156 0.659
F8 F 0.844 0.341 0.156
```

Crystal system: trigonal
Total DFT energy (no corrections) (eV/atom): -11.1167
DFT formation energy (eV/atom): -1.3792



No. 3
UGaRh | r²SCAN | optimized geometry

The structure in CIF format:
```
data_UGaRh
_chemical_formula_sum 'U3 Ga3 Rh3'
_symmetry_space_group_name_H-M 'P 1'
_symmetry_Int_Tables_number 1
_cell_length_a 6.877
_cell_length_b 6.877
_cell_length_c 4.095
_cell_angle_alpha 90.00
_cell_angle_beta 90.00
_cell_angle_gamma 120.00
loop_
_symmetry_equiv_pos_as_xyz
'x,y,z'
loop_
_atom_site_label
_atom_site_type_symbol
_atom_site_fract_x
_atom_site_fract_y
_atom_site_fract_z
U1 U 0.000 0.573 0.000
U2 U 0.427 0.427 0.000
U3 U 0.573 0.000 0.000
Ga1 Ga 0.000 0.236 0.500
Ga2 Ga 0.236 0.000 0.500
Ga3 Ga 0.764 0.764 0.500
Rh1 Rh 0.000 0.000 0.000
Rh2 Rh 0.333 0.667 0.500
Rh3 Rh 0.667 0.333 0.500
```

Crystal system: hexagonal
Total DFT energy (no corrections) (eV/atom): -39.2113
DFT formation energy (eV/atom): -0.7043



Q: Which of these has the lowest total DFT energy (no corrections)?
A: UGaRh